Entry one
Computed, not measured: an optimized crystal structure of Cu3SbSe4 at the PBE level of DFT.

Properties
**Symmetry**: R3m
**Magnetization**: 0.00 μB per cell

a = 13.6785 Å, b = 13.6785 Å, c = 13.6785 Å
α = 16.81°, β = 16.81°, γ = 16.81°
With the nearest neighbours (Å) after each atom.
Positions (direct):
Cu1 0.9937 0.9937 0.9937  4 Se 2.38
Cu2 0.2503 0.2503 0.2503  4 Se 2.41-2.42
Cu3 0.5124 0.5124 0.5124  4 Se 2.36-2.48
Sb1 0.7425 0.7425 0.7425  4 Se 2.75-2.86
Se1 0.9349 0.9349 0.9349  4 Cu 2.38-2.42
Se2 0.1906 0.1906 0.1906  4 Cu 2.36-2.41
Se3 0.4510 0.4510 0.4510  1 Cu 2.48
Se4 0.6746 0.6746 0.6746  3 Cu 2.38



Entry two
Computed, not measured: an optimized crystal structure of Cu3SbSe4 at the PBE level of DFT.

Properties
**Symmetry**: I-42m

a = 5.7213 Å, b = 5.7213 Å, c = 6.9796 Å
α = 114.20°, β = 114.20°, γ = 90.00°
With the nearest neighbours (Å) after each atom.
Positions (direct):
Cu1 0.2500 0.7500 0.5000  4 Se 2.42
Cu2 0.5000 0.5000 0.0000  4 Se 2.43
Cu3 0.7500 0.2500 0.5000  4 Se 2.42
Sb1 0.0000 0.0000 0.0000  4 Se 2.64
Se1 0.5993 0.1324 0.7317  3 Cu 2.42-2.43, 1 Sb 2.64
Se2 0.1324 0.5993 0.7317  3 Cu 2.42-2.43, 1 Sb 2.64
Se3 0.8676 0.8676 0.2683  3 Cu 2.42-2.43, 1 Sb 2.64
Se4 0.4007 0.4007 0.2683  3 Cu 2.42-2.43, 1 Sb 2.64



Most stable structure: entry two



Entry one
Computed, not measured: an optimized crystal structure of Cu9Se5 at the PBE level of DFT.

Properties
**Symmetry**: P-1
**Magnetization**: 0.01 μB per cell

a = 7.0210 Å, b = 8.1137 Å, c = 9.0873 Å
α = 77.12°, β = 75.02°, γ = 73.29°
With the nearest neighbours (Å) after each atom.
Positions (direct):
Cu1 0.0493 0.4514 0.1494  4 Se 2.46-2.50
Cu2 0.0494 0.9495 0.1494  4 Se 2.47-2.49
Cu3 0.9506 0.0505 0.8506  4 Se 2.47-2.49
Cu4 0.1504 0.3503 0.4507  4 Se 2.47-2.49
Cu5 0.9507 0.5486 0.8506  4 Se 2.46-2.50
Cu6 0.4460 0.5516 0.3491  4 Se 2.48-2.51
Cu7 0.3490 0.6509 0.0462  4 Se 2.50-2.52
Cu8 0.2541 0.7495 0.7471  4 Se 2.48-2.51
Cu9 0.6495 0.8498 0.9511  4 Se 2.46-2.49
Cu10 0.1509 0.8490 0.4497  4 Se 2.49
Cu11 0.5490 0.9504 0.6499  4 Se 2.47-2.49
Cu12 0.4510 0.0496 0.3501  4 Se 2.47-2.49
Cu13 0.3505 0.1502 0.0489  4 Se 2.46-2.49
Cu14 0.8491 0.1510 0.5503  4 Se 2.49
Cu15 0.6510 0.3491 0.9538  4 Se 2.50-2.52
Cu16 0.5540 0.4484 0.6509  4 Se 2.48-2.51
Cu17 0.8496 0.6497 0.5493  4 Se 2.47-2.49
Cu18 0.7459 0.2505 0.2529  4 Se 2.48-2.51
Se1 0.8994 0.8502 0.7001  8 Cu 2.49-2.50
Se2 0.9046 0.3488 0.6998  7 Cu 2.47-2.52
Se3 0.0954 0.6512 0.3002  7 Cu 2.47-2.52
Se4 0.2992 0.9545 0.8987  7 Cu 2.46-2.51
Se5 0.1006 0.1498 0.2999  8 Cu 2.49-2.50
Se6 0.4968 0.2497 0.5031  7 Cu 2.47-2.51
Se7 0.2980 0.4472 0.8984  7 Cu 2.46-2.52
Se8 0.7020 0.5528 0.1016  7 Cu 2.46-2.52
Se9 0.5032 0.7503 0.4969  7 Cu 2.47-2.51
Se10 0.7008 0.0455 0.1013  7 Cu 2.46-2.51



Entry two
Computed, not measured: an optimized crystal structure of Cu9Se5 at the PBE level of DFT.

Properties
**Symmetry**: P1
**Magnetization**: 0.00 μB per cell

a = 5.8058 Å, b = 7.1161 Å, c = 7.1306 Å
α = 79.33°, β = 66.01°, γ = 66.07°
With the nearest neighbours (Å) after each atom.
Positions (direct):
Cu1 0.4703 0.8935 0.6943  4 Se 2.43-2.61, 2 Cu 2.57-2.61
Cu2 0.8534 0.7109 0.1089  4 Se 2.44-2.64, 2 Cu 2.55-2.64
Cu3 0.2639 0.5033 0.4819  4 Se 2.49-2.70, 3 Cu 2.51-2.57
Cu4 0.0669 0.7951 0.7295  3 Se 2.39-2.41, 3 Cu 2.55-2.61
Cu5 0.3853 0.7926 0.0752  3 Se 2.40-2.41, 3 Cu 2.57-2.64
Cu6 0.6376 0.3010 0.9011  4 Se 2.48-2.49, 2 Cu 2.54-2.55
Cu7 0.0489 0.0973 0.3120  4 Se 2.49-2.66, 3 Cu 2.51-2.58
Cu8 0.8648 0.4017 0.5319  3 Se 2.41-2.43, 3 Cu 2.51-2.57
Cu9 0.5925 0.1905 0.2717  3 Se 2.40-2.45, 3 Cu 2.51-2.58
Se1 0.9950 0.0060 0.9908  7 Cu 2.40-2.66
Se2 0.4097 0.8032 0.4003  6 Cu 2.39-2.49
Se3 0.7898 0.5963 0.8073  6 Cu 2.39-2.64
Se4 0.1905 0.4022 0.1885  6 Cu 2.41-2.57
Se5 0.5816 0.2009 0.6098  6 Cu 2.40-2.59



Most stable structure: entry one



Entry one
Computed, not measured: an optimized crystal structure of Sm3CuSe6 at the PBE level of DFT.

Properties
**Symmetry**: P2_1/m

a = 17.0351 Å, b = 7.2339 Å, c = 7.9546 Å
α = 89.41°, β = 90.00°, γ = 90.00°
With the nearest neighbours (Å) after each atom.
Positions (direct):
Sm1 0.7500 0.7614 0.4429  8 Se 2.87-3.16
Sm2 0.5874 0.2556 0.5590  8 Se 2.97-3.13, 1 Cu 3.20
Sm3 0.4096 0.2719 0.9423  8 Se 2.93-3.17, 2 Cu 3.15
Sm4 0.0904 0.2719 0.9423  8 Se 2.93-3.17, 2 Cu 3.15
Sm5 0.9096 0.7281 0.0577  8 Se 2.93-3.17, 2 Cu 3.15
Sm6 0.7500 0.2365 0.9453  8 Se 2.87-3.13
Sm7 0.4126 0.7444 0.4410  8 Se 2.97-3.13, 1 Cu 3.20
Sm8 0.0874 0.7444 0.4410  8 Se 2.97-3.13, 1 Cu 3.20
Sm9 0.5904 0.7281 0.0577  8 Se 2.93-3.17, 2 Cu 3.15
Sm10 0.2500 0.2386 0.5571  8 Se 2.87-3.16
Sm11 0.2500 0.7635 0.0547  8 Se 2.87-3.13
Sm12 0.9126 0.2556 0.5590  8 Se 2.97-3.13, 1 Cu 3.20
Cu1 0.4713 0.8966 0.7956  4 Se 2.40-2.59
Cu2 0.9713 0.1034 0.2044  4 Se 2.40-2.59
Cu3 0.5287 0.1034 0.2044  4 Se 2.40-2.59
Cu4 0.0287 0.8966 0.7956  4 Se 2.40-2.59
Se1 0.5812 0.1088 0.9100  2 Cu 2.51-2.59
Se2 0.0812 0.8912 0.0900  2 Cu 2.51-2.59
Se3 0.2500 0.8850 0.3971  4 Sm 2.87-2.97
Se4 0.1740 0.4312 0.2502  1 Se 2.59
Se5 0.4188 0.8912 0.0900  2 Cu 2.51-2.59
Se6 0.8252 0.4214 0.2553  1 Se 2.56
Se7 0.9998 0.5732 0.7472  1 Cu 2.43
Se8 0.6740 0.5688 0.7498  1 Se 2.59
Se9 0.8260 0.5688 0.7498  1 Se 2.59
Se10 0.7500 0.8740 0.0964  4 Sm 2.87-2.93
Se11 0.4186 0.1161 0.5975  1 Cu 2.40
Se12 0.4998 0.4268 0.2528  1 Cu 2.43
Se13 0.9186 0.8839 0.4025  1 Cu 2.40
Se14 0.1748 0.5786 0.7447  1 Se 2.56
Se15 0.7500 0.1150 0.6029  4 Sm 2.87-2.97
Se16 0.5002 0.5732 0.7472  1 Cu 2.43
Se17 0.6748 0.4214 0.2553  1 Se 2.56
Se18 0.5814 0.8839 0.4025  1 Cu 2.40
Se19 0.3260 0.4312 0.2502  1 Se 2.59
Se20 0.3252 0.5786 0.7447  1 Se 2.56
Se21 0.0002 0.4268 0.2528  1 Cu 2.43
Se22 0.0814 0.1161 0.5975  1 Cu 2.40
Se23 0.2500 0.1260 0.9036  4 Sm 2.87-2.93
Se24 0.9188 0.1088 0.9100  2 Cu 2.51-2.59



Entry two
Computed, not measured: an optimized crystal structure of Sm3CuSe6 at the PBE level of DFT.

Properties
**Symmetry**: Pca2_1

a = 7.2113 Å, b = 7.9094 Å, c = 17.2855 Å
α = 90.00°, β = 90.00°, γ = 90.00°
With the nearest neighbours (Å) after each atom.
Positions (direct):
Sm1 0.2673 0.9436 0.2477  8 Se 2.84-3.16
Sm2 0.7327 0.0564 0.7477  8 Se 2.84-3.16
Sm3 0.2673 0.5564 0.7477  8 Se 2.84-3.16
Sm4 0.7327 0.4436 0.2477  8 Se 2.84-3.16
Sm5 0.2276 0.5564 0.4123  8 Se 3.01-3.13, 2 Cu 3.15-3.20
Sm6 0.7724 0.4436 0.9123  8 Se 3.01-3.13, 2 Cu 3.15-3.20
Sm7 0.2400 0.9399 0.5903  8 Se 2.92-3.18, 1 Cu 3.13
Sm8 0.7600 0.0601 0.0903  8 Se 2.92-3.18, 1 Cu 3.13
Sm9 0.7600 0.4399 0.5903  8 Se 2.92-3.18, 1 Cu 3.13
Sm10 0.2400 0.5601 0.0903  8 Se 2.92-3.18, 1 Cu 3.13
Sm11 0.7724 0.0564 0.4123  8 Se 3.01-3.13, 2 Cu 3.15-3.20
Sm12 0.2276 0.9436 0.9123  8 Se 3.01-3.13, 2 Cu 3.15-3.20
Cu1 0.3972 0.2074 0.4744  4 Se 2.42-2.56
Cu2 0.6028 0.7926 0.9744  4 Se 2.42-2.56
Cu3 0.6028 0.7074 0.4744  4 Se 2.42-2.56
Cu4 0.3972 0.2926 0.9744  4 Se 2.42-2.56
Se1 0.0700 0.2491 0.4998  1 Cu 2.42
Se2 0.9300 0.7509 0.9998  1 Cu 2.42
Se3 0.9300 0.7491 0.4998  1 Cu 2.42
Se4 0.0700 0.2509 0.9998  1 Cu 2.42
Se5 0.0758 0.2522 0.3205  1 Se 2.45
Se6 0.9242 0.7478 0.8205  1 Se 2.45
Se7 0.0750 0.2464 0.6786  1 Se 2.45
Se8 0.9250 0.7536 0.1786  1 Se 2.45
Se9 0.9250 0.7464 0.6786  1 Se 2.45
Se10 0.0750 0.2536 0.1786  1 Se 2.45
Se11 0.9242 0.7522 0.3205  1 Se 2.45
Se12 0.0758 0.2478 0.8205  1 Se 2.45
Se13 0.3877 0.9089 0.4174  2 Cu 2.43-2.56
Se14 0.6123 0.0911 0.9174  2 Cu 2.43-2.56
Se15 0.3874 0.5962 0.5799  1 Cu 2.55
Se16 0.6126 0.4038 0.0799  1 Cu 2.55
Se17 0.6126 0.0962 0.5799  1 Cu 2.55
Se18 0.3874 0.9038 0.0799  1 Cu 2.55
Se19 0.6123 0.4089 0.4174  2 Cu 2.43-2.56
Se20 0.3877 0.5911 0.9174  2 Cu 2.43-2.56
Se21 0.3778 0.5987 0.2511  4 Sm 2.84-3.01
Se22 0.6222 0.4013 0.7511  4 Sm 2.84-3.01
Se23 0.3778 0.9013 0.7511  4 Sm 2.84-3.01
Se24 0.6222 0.0987 0.2511  4 Sm 2.84-3.01



Most stable structure: entry two



Entry one
Computed, not measured: an optimized crystal structure of Cu2WSe4 at the PBE level of DFT.

Properties
**Symmetry**: I-42m
**Largest piezoelectric modulus**: 0.2 C/m2

a = 6.9463 Å, b = 6.9463 Å, c = 6.9463 Å
α = 132.39°, β = 132.39°, γ = 69.61°
With the nearest neighbours (Å) after each atom.
Positions (direct):
Cu1 0.0000 0.5000 0.5000  4 Se 2.44
Cu2 0.5000 0.0000 0.5000  4 Se 2.44
W1 0.0000 0.0000 0.0000  4 Se 2.38
Se1 0.8830 0.3658 0.0000  1 W 2.38, 2 Cu 2.44
Se2 0.3658 0.8830 0.0000  1 W 2.38, 2 Cu 2.44
Se3 0.6342 0.6342 0.5172  1 W 2.38, 2 Cu 2.44
Se4 0.1170 0.1170 0.4828  1 W 2.38, 2 Cu 2.44



Entry two
Computed, not measured: an optimized crystal structure of Cu2WSe4 at the PBE level of DFT.

Properties
**Symmetry**: P-42m
**Magnetization**: 0.00 μB per cell

a = 5.6270 Å, b = 5.6270 Å, c = 5.3910 Å
α = 90.00°, β = 90.00°, γ = 90.00°
With the nearest neighbours (Å) after each atom.
Positions (direct):
Cu1 0.5000 0.0000 0.5000  4 Se 2.44
Cu2 0.0000 0.5000 0.5000  4 Se 2.44
W1 0.0000 0.0000 0.0000  4 Se 2.37
Se1 0.2503 0.7497 0.2381  1 W 2.37, 2 Cu 2.44
Se2 0.7497 0.2503 0.2381  1 W 2.37, 2 Cu 2.44
Se3 0.2503 0.2503 0.7619  1 W 2.37, 2 Cu 2.44
Se4 0.7497 0.7497 0.7619  1 W 2.37, 2 Cu 2.44



Most stable structure: entry one